[1]
A plane-wave DFT calculation with PBE-GGA was carried out for an optimized crystal structure of CaB2O6.

Computed properties:
**Symmetry**: C2/c
**ΔE to the lowest computed polymorph**: 0.00 eV per formula unit
**E_form**: -1832 kJ/mol of formula units
**MP2020-corrected energy**: -128.09 eV for the cell shown

Cell lengths 7.0370, 7.0370, 4.5091 Å; angles 92.82, 92.82, 93.43 degrees
Fractional coordinates of all 18 atoms:
Ca  0.2237  0.7763  0.7500
Ca  0.7763  0.2237  0.2500
B  0.1300  0.2635  0.8231
B  0.2635  0.1300  0.3231
B  0.7365  0.8700  0.6769
B  0.8700  0.7365  0.1769
O  0.0548  0.6800  0.2921
O  0.1142  0.2005  0.1264
O  0.2005  0.1142  0.6264
O  0.2341  0.4463  0.8219
O  0.3200  0.9452  0.2079
O  0.4463  0.2341  0.3219
O  0.5537  0.7659  0.6781
O  0.6800  0.0548  0.7921
O  0.7659  0.5537  0.1781
O  0.7995  0.8858  0.3736
O  0.8858  0.7995  0.8736
O  0.9452  0.3200  0.7079

[2]
A plane-wave DFT calculation with PBE-GGA was carried out for an optimized crystal structure of CaB2O10.

Computed properties:
**Symmetry**: P2/c
**ΔE to the lowest computed polymorph**: 0.00 eV per formula unit
**E_form**: -1773 kJ/mol of formula units
**MP2020-corrected energy**: -166.44 eV for the cell shown

Cell lengths 8.3553, 5.9661, 7.5017 Å; angles 90.00, 96.33, 90.00 degrees
Fractional coordinates of all 26 atoms:
Ca  0.0000  0.1369  0.2500
Ca  0.0000  0.8631  0.7500
B  0.1309  0.3723  0.6403
B  0.1309  0.6277  0.1403
B  0.8691  0.3723  0.8597
B  0.8691  0.6277  0.3597
O  0.0861  0.1821  0.5744
O  0.0861  0.8179  0.0744
O  0.1686  0.4397  0.2084
O  0.1686  0.5603  0.7084
O  0.4109  0.2384  0.0307
O  0.4109  0.7616  0.5307
O  0.4259  0.0958  0.7386
O  0.4259  0.9042  0.2386
O  0.4418  0.2585  0.4457
O  0.4418  0.7415  0.9457
O  0.5582  0.2585  0.0543
O  0.5582  0.7415  0.5543
O  0.5741  0.0958  0.7614
O  0.5741  0.9042  0.2614
O  0.5891  0.2384  0.4693
O  0.5891  0.7616  0.9693
O  0.8314  0.4397  0.2916
O  0.8314  0.5603  0.7916
O  0.9139  0.1821  0.9256
O  0.9139  0.8179  0.4256

[3]
A plane-wave DFT calculation with PBE-GGA was carried out for an optimized crystal structure of CaB3O10.

Computed properties:
**Symmetry**: P-1
**ΔE to the lowest computed polymorph**: 0.66 eV per formula unit
**E_form**: -2115 kJ/mol of formula units
**MP2020-corrected energy**: -186.89 eV for the cell shown

Cell lengths 5.7492, 6.4545, 9.7420 Å; angles 76.18, 73.57, 83.16 degrees
Fractional coordinates of all 28 atoms:
Ca  0.2363  0.1742  0.1225
Ca  0.7637  0.8258  0.8775
B  0.2300  0.6762  0.1346
B  0.3295  0.4807  0.3601
B  0.4449  0.1896  0.7771
B  0.5551  0.8104  0.2229
B  0.6705  0.5193  0.6399
B  0.7700  0.3238  0.8654
O  0.0141  0.8282  0.1684
O  0.0238  0.0782  0.4501
O  0.1886  0.2300  0.8699
O  0.1957  0.7141  0.8803
O  0.2287  0.5810  0.0021
O  0.2306  0.4785  0.2430
O  0.2700  0.3207  0.4820
O  0.4323  0.8028  0.1021
O  0.4757  0.6405  0.3502
O  0.4856  0.9838  0.7462
O  0.5144  0.0162  0.2538
O  0.5243  0.3595  0.6498
O  0.5677  0.1972  0.8979
O  0.7300  0.6793  0.5180
O  0.7694  0.5215  0.7570
O  0.7713  0.4190  0.9979
O  0.8043  0.2859  0.1197
O  0.8114  0.7700  0.1301
O  0.9762  0.9218  0.5499
O  0.9859  0.1718  0.8316

What is the E_form in the second record? -1773 kJ/mol of formula units